1.
VASP calculation (PBE-GGA) on a geometry-optimized VH24C8N4 structure.

The structure in POSCAR format:
```
VH24C8N4
1.0
8.8194 0.0000 0.0000
1.1328 12.7677 0.0000
2.7526 3.3994 14.1447
V H C N
4 96 32 16
Direct
0.2044 0.2472 0.0239
0.2213 0.2481 0.5275
0.7787 0.7519 0.4725
0.7956 0.7528 0.9761
0.0202 0.4338 0.6817
0.0204 0.8051 0.2491
0.0322 0.8011 0.8059
0.0420 0.7223 0.6380
0.0444 0.6693 0.0945
0.0766 0.0451 0.4217
0.0841 0.8185 0.3535
0.0975 0.7049 0.5200
0.1062 0.3873 0.1635
0.1323 0.4750 0.9276
0.1323 0.8278 0.5478
0.1415 0.0245 0.9362
0.1467 0.7042 0.3045
0.1490 0.3384 0.7413
0.1611 0.1482 0.3267
0.1647 0.9627 0.1023
0.1719 0.4888 0.4622
0.1739 0.7714 0.0276
0.1752 0.8393 0.8615
0.1872 0.7084 0.8393
0.2004 0.6396 0.0071
0.2176 0.0075 0.5968
0.2190 0.4244 0.6289
0.2222 0.3289 0.2520
0.2403 0.4847 0.8112
0.2413 0.1403 0.8650
0.2717 0.0783 0.4147
0.2812 0.0332 0.1526
0.2809 0.4972 0.3462
0.2992 0.4281 0.1511
0.3093 0.0027 0.6960
0.3316 0.5067 0.9018
0.3465 0.0173 0.9066
0.3675 0.5288 0.4348
0.3687 0.9570 0.0684
0.4043 0.8883 0.4095
0.4200 0.9735 0.5912
0.4224 0.6001 0.5914
0.4330 0.2061 0.2232
0.4357 0.3519 0.7792
0.4609 0.7357 0.5879
0.4702 0.6261 0.1313
0.4761 0.1337 0.6954
0.4805 0.7554 0.4044
0.4811 0.2406 0.8713
0.4846 0.6950 0.8764
0.4862 0.1737 0.1103
0.4905 0.3723 0.3184
0.5095 0.6277 0.6816
0.5138 0.8263 0.8897
0.5154 0.3050 0.1236
0.5189 0.7594 0.1287
0.5195 0.2446 0.5956
0.5239 0.8663 0.3046
0.5298 0.3739 0.8687
0.5391 0.2643 0.4121
0.5643 0.6481 0.2208
0.5670 0.7939 0.7768
0.5776 0.3999 0.4086
0.5800 0.0265 0.4088
0.5957 0.1117 0.5905
0.6313 0.0430 0.9316
0.6325 0.4712 0.5652
0.6535 0.9827 0.0934
0.6684 0.4933 0.0982
0.6907 0.9973 0.3040
0.7008 0.5719 0.8489
0.7191 0.5028 0.6538
0.7188 0.9668 0.8474
0.7283 0.9217 0.5853
0.7587 0.8597 0.1350
0.7597 0.5153 0.1888
0.7778 0.6711 0.7480
0.7810 0.5756 0.3711
0.7824 0.9925 0.4032
0.7996 0.3604 0.9929
0.8128 0.2916 0.1607
0.8248 0.1607 0.1385
0.8261 0.2286 0.9724
0.8281 0.5112 0.5378
0.8353 0.0373 0.8977
0.8389 0.8518 0.6733
0.8510 0.6616 0.2587
0.8533 0.2958 0.6955
0.8585 0.9755 0.0638
0.8677 0.1722 0.4522
0.8677 0.5250 0.0724
0.8938 0.6127 0.8365
0.9025 0.2951 0.4800
0.9159 0.1815 0.6465
0.9234 0.9549 0.5783
0.9556 0.3307 0.9055
0.9580 0.2777 0.3620
0.9678 0.1989 0.1941
0.9796 0.1949 0.7509
0.9798 0.5662 0.3183
0.0476 0.7607 0.3190
0.0493 0.7632 0.5622
0.1050 0.7721 0.8605
0.1112 0.7014 0.0242
0.1212 0.3776 0.6703
0.1562 0.1123 0.4033
0.2235 0.3584 0.1750
0.2464 0.0712 0.9253
0.2456 0.4572 0.8875
0.2687 0.0110 0.0873
0.2870 0.4738 0.4228
0.3234 0.0257 0.6177
0.4362 0.2374 0.1462
0.4411 0.3257 0.8556
0.4933 0.1592 0.6170
0.4940 0.3481 0.3953
0.5060 0.6519 0.6047
0.5067 0.8408 0.3830
0.5589 0.6743 0.1444
0.5638 0.7626 0.8538
0.6766 0.9743 0.3823
0.7130 0.5262 0.5772
0.7313 0.9890 0.9127
0.7544 0.5428 0.1125
0.7536 0.9288 0.0747
0.7765 0.6416 0.8250
0.8438 0.8877 0.5967
0.8788 0.6224 0.3297
0.8888 0.2986 0.9758
0.8950 0.2279 0.1395
0.9507 0.2368 0.4378
0.9524 0.2393 0.6810
0.0126 0.7309 0.9527
0.0829 0.2989 0.6230
0.1001 0.1906 0.4596
0.2604 0.1050 0.0101
0.2819 0.2728 0.1269
0.2907 0.3433 0.9108
0.3428 0.3626 0.4512
0.3585 0.1384 0.5816
0.6415 0.8616 0.4184
0.6572 0.6374 0.5488
0.7093 0.6567 0.0892
0.7181 0.7272 0.8731
0.7396 0.8950 0.9899
0.8999 0.8094 0.5404
0.9171 0.7011 0.3770
0.9874 0.2691 0.0473
```

Results
M_tot	0.00	μB per formula unit
calculated volume	1592.74	Å³ per cell
SG	No. 2
corrected total energy (MP2020 scheme)	-5.519	eV/atom
crystal system	triclinic
energy of formation from the pure elements	-6.50	eV/f.u.

2.
VASP calculation (PBE-GGA) on a geometry-optimized ZnH36C60N12 structure.

The structure in POSCAR format:
```
ZnH36C60N12
1.0
10.2543 0.0000 0.0000
1.9252 10.4280 0.0000
1.9279 1.9075 10.6408
Zn H C N
1 36 60 12
Direct
0.0000 0.0000 0.0000
0.0278 0.0065 0.7462
0.0371 0.7353 0.9705
0.0486 0.0310 0.4101
0.0648 0.1820 0.3475
0.0712 0.4068 0.1680
0.0825 0.1414 0.7555
0.1093 0.4552 0.0162
0.1092 0.7406 0.0923
0.1792 0.0010 0.7814
0.1827 0.0233 0.1422
0.1853 0.1428 0.0232
0.1899 0.7724 0.9507
0.1971 0.0737 0.3740
0.2161 0.3532 0.0941
0.2708 0.9974 0.0029
0.4491 0.9186 0.8128
0.4687 0.0541 0.0831
0.4696 0.8098 0.9398
0.5304 0.1902 0.0602
0.5313 0.9459 0.9169
0.5509 0.0814 0.1872
0.7292 0.0026 0.9971
0.7839 0.6468 0.9059
0.8029 0.9263 0.6260
0.8101 0.2276 0.0493
0.8147 0.8572 0.9768
0.8173 0.9767 0.8578
0.8208 0.9990 0.2186
0.8908 0.2594 0.9077
0.8907 0.5448 0.9838
0.9175 0.8586 0.2445
0.9288 0.5932 0.8320
0.9352 0.8180 0.6525
0.9514 0.9690 0.5899
0.9629 0.2647 0.0295
0.9722 0.9935 0.2538
0.1464 0.5395 0.5819
0.1583 0.6034 0.4552
0.1842 0.3987 0.6116
0.1862 0.5951 0.6763
0.2074 0.5299 0.3552
0.2116 0.7255 0.4214
0.2324 0.3274 0.5144
0.2375 0.7135 0.6441
0.2442 0.3669 0.7265
0.2440 0.3929 0.3843
0.2475 0.4882 0.7656
0.2505 0.7797 0.5134
0.2918 0.6054 0.2590
0.2945 0.7273 0.2995
0.3435 0.2210 0.5282
0.3495 0.7315 0.6988
0.3531 0.2637 0.7398
0.3571 0.5053 0.8180
0.3647 0.3302 0.3185
0.3724 0.8370 0.4871
0.4027 0.1903 0.6397
0.4092 0.5439 0.1941
0.4092 0.6274 0.7857
0.4124 0.7825 0.2741
0.4259 0.2230 0.4075
0.4340 0.8057 0.6017
0.4465 0.4028 0.2245
0.4525 0.8386 0.3695
0.4665 0.2813 0.7931
0.4693 0.3989 0.8322
0.5307 0.6011 0.1678
0.5335 0.7187 0.2069
0.5475 0.1614 0.6305
0.5535 0.5972 0.7755
0.5660 0.1943 0.3983
0.5741 0.7770 0.5925
0.5876 0.2175 0.7259
0.5908 0.3726 0.2143
0.5908 0.4561 0.8059
0.5973 0.8097 0.3603
0.6276 0.1630 0.5129
0.6353 0.6698 0.6815
0.6429 0.4947 0.1820
0.6469 0.7363 0.2602
0.6505 0.2685 0.3012
0.6565 0.7790 0.4718
0.7055 0.2727 0.7005
0.7082 0.3946 0.7410
0.7495 0.2203 0.4866
0.7525 0.5118 0.2344
0.7560 0.6071 0.6157
0.7558 0.6331 0.2735
0.7625 0.2865 0.3559
0.7676 0.6726 0.4856
0.7884 0.2745 0.5786
0.7926 0.4701 0.6448
0.8138 0.4049 0.3237
0.8158 0.6013 0.3884
0.8417 0.3966 0.5448
0.8536 0.4605 0.4181
0.0820 0.0454 0.7956
0.0967 0.7861 0.0026
0.1060 0.0874 0.3432
0.1161 0.3754 0.0863
0.1829 0.0446 0.0467
0.4496 0.9079 0.9075
0.5504 0.0921 0.0925
0.8171 0.9554 0.9533
0.8839 0.6246 0.9137
0.8940 0.9126 0.6568
0.9033 0.2139 0.9974
0.9180 0.9546 0.2044
```

Results
M_tot	0.00	μB per formula unit
calculated volume	1137.85	Å³ per cell
SG	No. 2
corrected total energy (MP2020 scheme)	-7.116	eV/atom
crystal system	triclinic
energy of formation from the pure elements	1.47	eV/f.u.

Looking at E for the records above, in order, we have -811.0; -771.4 eV per cell.